Density functional theory data (GGA+U) for a relaxed structure of Li4MnFe3B4O12.

Lattice parameters (Å, degrees): 5.2095 5.2172 10.4028 90.67 91.01 119.74
Closest atoms and distances in Å follow each position.
Sites, in units of the cell vectors:
Li: 0.6799 0.6526 0.6670  4 O 1.92-2.04
Li: 0.6534 0.6782 0.1693  4 O 1.92-2.03
Li: 0.3498 0.3404 0.4170  4 O 1.94-2.07
Li: 0.3387 0.3477 0.9168  4 O 1.92-2.08
Mn: 0.6724 0.0051 0.8834  5 O 2.09-2.30
Fe: 0.3176 0.0054 0.1320  4 O 2.01-2.24
Fe: 0.0038 0.3189 0.6326  4 O 2.01-2.24
Fe: 0.0100 0.6666 0.3820  4 O 2.02-2.25
B: 0.9962 0.3393 0.1271  3 O 1.39-1.40
B: 0.6642 0.0046 0.3757  3 O 1.38-1.41
B: 0.3382 0.9964 0.6254  3 O 1.39-1.40
B: 0.0052 0.6655 0.8756  3 O 1.38-1.40
O: 0.9279 0.2538 0.4169  1 B 1.40
O: 0.7427 0.0686 0.0985  1 B 1.40
O: 0.9736 0.5831 0.1660  1 B 1.39
O: 0.4152 0.0327 0.3455  1 B 1.41
O: 0.7282 0.6379 0.8614  1 B 1.38
O: 0.6477 0.7335 0.3622  1 B 1.38
O: 0.3629 0.2731 0.6120  1 B 1.39
O: 0.2727 0.3638 0.1130  1 B 1.39
O: 0.5843 0.9754 0.6649  1 B 1.40
O: 0.0414 0.4236 0.8440  1 B 1.40
O: 0.2465 0.9310 0.9190  1 B 1.39
O: 0.0685 0.7434 0.5967  1 B 1.39

ρ in Mg/m³: 3.285
Space-group type: P1 (1)
Spin magnetization in μB/cell: 17.00
Energy of formation from the pure elements in eV per atom: -2.376